A relaxed MgSnBiO5 crystal, computed with PBE.

E above lowest polymorph (meV/atom): 9
Space-group type: P2_1/c, No. 14
Crystal system: monoclinic
Formation energy from the elements (meV per atom): -2001

Cell lengths 11.055, 5.443, 8.720 Å; angles 68.83, 90.00, 90.00 degrees
Fractional positions:
Mg: 0.089 0.545 0.836
Mg: 0.911 0.455 0.164
Mg: 0.589 0.455 0.664
Mg: 0.411 0.545 0.336
Sn: 0.387 0.160 0.049
Sn: 0.613 0.840 0.951
Sn: 0.887 0.840 0.451
Sn: 0.113 0.160 0.549
Bi: 0.892 0.045 0.850
Bi: 0.108 0.955 0.150
Bi: 0.608 0.045 0.350
Bi: 0.392 0.955 0.650
O: 0.960 0.864 0.659
O: 0.031 0.343 0.683
O: 0.799 0.180 0.315
O: 0.466 0.756 0.489
O: 0.718 0.700 0.518
O: 0.782 0.700 0.018
O: 0.469 0.343 0.183
O: 0.531 0.657 0.817
O: 0.534 0.244 0.511
O: 0.460 0.136 0.841
O: 0.282 0.300 0.482
O: 0.040 0.136 0.341
O: 0.540 0.864 0.159
O: 0.218 0.300 0.982
O: 0.966 0.244 0.011
O: 0.034 0.756 0.989
O: 0.201 0.820 0.685
O: 0.969 0.657 0.317
O: 0.299 0.820 0.185
O: 0.701 0.180 0.815